Entry from the Materials Project database: crystalline MgCrW2O8 at its relaxed geometry (GGA+U).

Summary:
As for the excess energy over the best structure of this formula in the dataset: 61 meV per atom. The value obtained for the total moment is 4.000 μB per formula unit.

```
MgCrW2O8
1.0
-2.338 -4.287 1.082
4.599 -4.216 -4.488
3.610 3.240 3.999
Mg Cr W O
1 1 2 8
Direct
0.240 0.631 0.505
0.114 0.214 0.094
0.863 0.356 0.599
0.379 0.077 0.593
0.103 0.577 0.713
0.433 0.445 0.366
0.213 0.195 0.815
0.492 0.098 0.353
0.754 0.996 0.835
0.128 0.851 0.404
0.021 0.226 0.367
0.744 0.337 0.847
```


Entry from the Materials Project database: crystalline Y2MgCr2O8 at its relaxed geometry (GGA+U).

Summary:
As for the excess energy over the best structure of this formula in the dataset: 0 meV per atom. The value obtained for the total moment is 4.000 μB per formula unit.

```
Y2MgCr2O8
1.0
4.723 -0.406 -1.730
-1.207 4.695 -1.737
0.714 0.774 7.826
Y Mg Cr O
2 1 2 8
Direct
0.402 0.153 0.806
0.580 0.828 0.158
0.735 0.481 0.465
0.929 0.679 0.858
0.067 0.315 0.132
0.906 0.235 0.309
0.727 0.950 0.930
0.405 0.570 0.309
0.203 0.480 0.930
0.804 0.516 0.052
0.248 0.034 0.051
0.029 0.791 0.669
0.642 0.380 0.670
```


Entry from the Materials Project database: crystalline Y2MgCr2O8 at its relaxed geometry (GGA+U).

Summary:
As for the excess energy over the best structure of this formula in the dataset: 7 meV per atom. The value obtained for the total moment is 4.000 μB per formula unit.

```
Y2MgCr2O8
1.0
5.774 -0.069 -1.658
-3.303 5.001 -1.631
0.017 0.069 6.007
Y Mg Cr O
2 1 2 8
Direct
0.155 0.911 0.292
0.881 0.089 0.744
0.735 0.500 0.735
0.353 0.637 0.755
0.619 0.363 0.216
0.821 0.709 0.465
0.390 0.808 0.561
0.734 0.802 0.946
0.776 0.355 0.009
0.644 0.198 0.433
0.256 0.291 0.612
0.154 0.645 0.922
0.253 0.192 0.081
```


Entry from the Materials Project database: crystalline Y2MgCr2O8 at its relaxed geometry (GGA+U).

Summary:
As for the excess energy over the best structure of this formula in the dataset: 13 meV per atom. The value obtained for the total moment is 4.000 μB per formula unit.

```
Y2MgCr2O8
1.0
-3.237 -5.143 0.235
4.852 0.327 3.652
-3.841 4.487 1.909
Y Mg Cr O
2 1 2 8
Direct
0.125 0.875 0.250
0.904 0.096 0.750
0.615 0.385 0.750
0.351 0.649 0.750
0.627 0.373 0.250
0.815 0.739 0.425
0.384 0.847 0.584
0.720 0.772 0.907
0.795 0.363 0.051
0.637 0.205 0.449
0.228 0.280 0.593
0.153 0.616 0.916
0.261 0.185 0.075
```


Entry from the Materials Project database: crystalline MgZn2Cr2O8 at its relaxed geometry (GGA+U).

Summary:
As for the excess energy over the best structure of this formula in the dataset: 0 meV per atom. The value obtained for the total moment is 2.001 μB per formula unit.

```
MgZn2Cr2O8
1.0
-1.200 -3.547 3.591
2.458 -4.513 -0.714
4.822 2.051 3.637
Mg Zn Cr O
1 2 2 8
Direct
0.661 0.661 0.250
0.998 0.998 0.995
0.998 0.998 0.505
0.341 0.341 0.250
0.640 0.640 0.750
0.282 0.784 0.750
0.248 0.722 0.250
0.761 0.761 0.528
0.238 0.238 0.032
0.761 0.761 0.972
0.238 0.238 0.468
0.722 0.248 0.250
0.784 0.282 0.750
```


Entry from the Materials Project database: crystalline MgZn2Cr2O8 at its relaxed geometry (GGA+U).

Summary:
As for the excess energy over the best structure of this formula in the dataset: 132 meV per atom. The value obtained for the total moment is 1.996 μB per formula unit.

```
MgZn2Cr2O8
1.0
-3.760 1.095 -4.002
0.204 -2.760 -4.926
-3.767 -4.431 2.326
Mg Zn Cr O
1 2 2 8
Direct
0.831 0.855 0.750
0.081 0.074 0.026
0.081 0.074 0.474
0.391 0.387 0.250
0.577 0.582 0.750
0.212 0.788 0.750
0.234 0.750 0.250
0.685 0.693 0.542
0.283 0.276 0.035
0.685 0.693 0.958
0.283 0.276 0.465
0.759 0.229 0.250
0.787 0.222 0.750
```


Entry from the Materials Project database: crystalline MgZn2Cr2O8 at its relaxed geometry (GGA+U).

Summary:
As for the excess energy over the best structure of this formula in the dataset: 163 meV per atom. The value obtained for the total moment is 2.000 μB per formula unit.

```
MgZn2Cr2O8
1.0
-3.929 -3.224 -1.382
-1.898 -3.005 3.887
-4.458 4.171 1.546
Mg Zn Cr O
1 2 2 8
Direct
0.500 0.500 0.500
0.000 0.000 0.000
0.000 0.000 0.500
0.328 0.328 0.205
0.672 0.672 0.795
0.299 0.768 0.746
0.232 0.701 0.254
0.769 0.769 0.558
0.238 0.238 0.984
0.762 0.762 0.016
0.231 0.231 0.442
0.701 0.232 0.254
0.768 0.299 0.746
```


Entry from the Materials Project database: crystalline Mn2Cr3N2O12 at its relaxed geometry (GGA+U).

Summary:
The value obtained for the total moment is 5.534 μB per formula unit.

```
Mn2Cr3N2O12
1.0
-1.741 4.781 -9.071
-10.252 -0.637 1.632
0.195 9.215 4.819
Mn Cr N O
8 12 8 48
Direct
0.337 0.337 0.337
0.163 0.663 0.837
0.663 0.837 0.163
0.837 0.163 0.663
0.602 0.602 0.602
0.898 0.398 0.102
0.398 0.102 0.898
0.102 0.898 0.398
0.019 0.210 0.375
0.481 0.790 0.875
0.981 0.710 0.125
0.375 0.019 0.210
0.519 0.290 0.625
0.875 0.481 0.790
0.125 0.981 0.710
0.625 0.519 0.290
0.210 0.375 0.019
0.710 0.125 0.981
0.290 0.625 0.519
0.790 0.875 0.481
0.047 0.047 0.047
0.453 0.953 0.547
0.953 0.547 0.453
0.547 0.453 0.953
0.818 0.818 0.818
0.682 0.182 0.318
0.182 0.318 0.682
0.318 0.682 0.182
0.014 0.053 0.332
0.486 0.947 0.832
0.986 0.553 0.168
0.332 0.014 0.053
0.514 0.447 0.668
0.832 0.486 0.947
0.168 0.986 0.553
0.668 0.514 0.447
0.053 0.332 0.014
0.553 0.168 0.986
0.447 0.668 0.514
0.947 0.832 0.486
0.270 0.489 0.437
0.230 0.511 0.937
0.730 0.989 0.063
0.437 0.270 0.489
0.770 0.011 0.563
0.937 0.230 0.511
0.063 0.730 0.989
0.563 0.770 0.011
0.489 0.437 0.270
0.989 0.063 0.730
0.011 0.563 0.770
0.511 0.937 0.230
0.047 0.802 0.239
0.453 0.198 0.739
0.953 0.302 0.261
0.239 0.047 0.802
0.547 0.698 0.761
0.739 0.453 0.198
0.261 0.953 0.302
0.761 0.547 0.698
0.802 0.239 0.047
0.302 0.261 0.953
0.698 0.761 0.547
0.198 0.739 0.453
0.172 0.251 0.398
0.328 0.749 0.898
0.828 0.751 0.102
0.398 0.172 0.251
0.672 0.249 0.602
0.898 0.328 0.749
0.102 0.828 0.751
0.602 0.672 0.249
0.251 0.398 0.172
0.751 0.102 0.828
0.249 0.602 0.672
0.749 0.898 0.328
```


Entry from the Materials Project database: crystalline Mn3NbCr2P6O24 at its relaxed geometry (GGA+U).

Summary:
The value obtained for the total moment is 20.001 μB per formula unit.

```
Mn3NbCr2P6O24
1.0
7.355 -4.382 0.000
7.355 4.382 0.000
4.744 0.000 7.127
Mn Nb Cr P O
3 1 2 6 24
Direct
0.149 0.149 0.149
0.353 0.353 0.353
0.647 0.647 0.647
0.853 0.853 0.853
0.003 0.003 0.003
0.501 0.501 0.501
0.443 0.748 0.054
0.548 0.254 0.947
0.947 0.548 0.254
0.254 0.947 0.548
0.748 0.054 0.443
0.054 0.443 0.748
0.321 0.095 0.518
0.518 0.321 0.095
0.904 0.070 0.247
0.095 0.518 0.321
0.828 0.987 0.607
0.604 0.250 0.447
0.070 0.247 0.904
0.250 0.447 0.604
0.403 0.175 0.989
0.447 0.604 0.250
0.755 0.094 0.927
0.989 0.403 0.175
0.987 0.607 0.828
0.247 0.904 0.070
0.567 0.401 0.744
0.607 0.828 0.987
0.744 0.567 0.401
0.927 0.755 0.094
0.401 0.744 0.567
0.175 0.989 0.403
0.903 0.486 0.678
0.094 0.927 0.755
0.486 0.678 0.903
0.678 0.903 0.486
```


Entry from the Materials Project database: crystalline Mn2CrNi3P6O24 at its relaxed geometry (GGA+U).

Summary:
The value obtained for the total moment is 13.999 μB per formula unit.

```
Mn2CrNi3P6O24
1.0
7.393 -4.319 0.000
7.393 4.319 0.000
4.870 0.000 7.042
Mn Cr Ni P O
2 1 3 6 24
Direct
0.002 0.002 0.002
0.500 0.500 0.500
0.858 0.858 0.858
0.143 0.143 0.143
0.358 0.358 0.358
0.643 0.643 0.643
0.750 0.043 0.459
0.043 0.459 0.750
0.459 0.750 0.043
0.543 0.249 0.956
0.956 0.543 0.249
0.249 0.956 0.543
0.311 0.109 0.514
0.514 0.311 0.109
0.911 0.057 0.262
0.109 0.514 0.311
0.819 0.997 0.618
0.591 0.241 0.451
0.057 0.262 0.911
0.241 0.451 0.591
0.389 0.186 0.987
0.451 0.591 0.241
0.744 0.086 0.935
0.987 0.389 0.186
0.997 0.618 0.819
0.262 0.911 0.057
0.561 0.408 0.755
0.618 0.819 0.997
0.755 0.561 0.408
0.935 0.744 0.086
0.408 0.755 0.561
0.186 0.987 0.389
0.891 0.490 0.684
0.086 0.935 0.744
0.490 0.684 0.891
0.684 0.891 0.490
```


Entry from the Materials Project database: crystalline Mn3CrNi2P6O24 at its relaxed geometry (GGA+U).

Summary:
The value obtained for the total moment is 16.999 μB per formula unit.

```
Mn3CrNi2P6O24
1.0
-6.770 -2.684 -4.254
0.815 -2.153 -8.114
-0.542 -8.128 -2.183
Mn Cr Ni P O
3 1 2 6 24
Direct
0.142 0.142 0.142
0.358 0.358 0.358
0.642 0.642 0.642
0.860 0.860 0.860
0.000 0.000 0.000
0.501 0.501 0.501
0.457 0.750 0.042
0.750 0.042 0.457
0.042 0.457 0.750
0.960 0.541 0.250
0.250 0.960 0.541
0.541 0.250 0.960
0.504 0.315 0.120
0.120 0.504 0.315
0.255 0.910 0.060
0.315 0.120 0.504
0.614 0.812 0.009
0.444 0.583 0.243
0.910 0.060 0.255
0.583 0.243 0.444
0.991 0.383 0.189
0.243 0.444 0.583
0.946 0.741 0.090
0.189 0.991 0.383
0.812 0.009 0.614
0.060 0.255 0.910
0.760 0.555 0.414
0.009 0.614 0.812
0.414 0.760 0.555
0.090 0.946 0.741
0.555 0.414 0.760
0.383 0.189 0.991
0.689 0.883 0.488
0.741 0.090 0.946
0.883 0.488 0.689
0.488 0.689 0.883
```


Entry from the Materials Project database: crystalline Mn3Cr2NiP6O24 at its relaxed geometry (GGA+U).

Summary:
The value obtained for the total moment is 19.008 μB per formula unit.

```
Mn3Cr2NiP6O24
1.0
-6.310 2.155 -5.117
-3.020 -5.804 -5.276
-7.630 -3.184 1.512
Mn Cr Ni P O
3 2 1 6 24
Direct
0.144 0.144 0.144
0.356 0.356 0.356
0.645 0.645 0.645
0.999 0.999 0.999
0.500 0.500 0.500
0.857 0.857 0.857
0.750 0.046 0.452
0.046 0.452 0.750
0.452 0.750 0.046
0.548 0.249 0.955
0.955 0.548 0.249
0.249 0.955 0.548
0.322 0.114 0.504
0.504 0.322 0.114
0.901 0.066 0.246
0.114 0.504 0.322
0.818 0.016 0.604
0.588 0.252 0.437
0.066 0.246 0.901
0.252 0.437 0.588
0.393 0.181 0.989
0.437 0.588 0.252
0.751 0.099 0.940
0.989 0.393 0.181
0.016 0.604 0.818
0.246 0.901 0.066
0.559 0.409 0.752
0.604 0.818 0.016
0.752 0.559 0.409
0.940 0.751 0.099
0.409 0.752 0.559
0.181 0.989 0.393
0.892 0.487 0.681
0.099 0.940 0.751
0.487 0.681 0.892
0.681 0.892 0.487
```


Entry from the Materials Project database: crystalline Mn2CrO4 at its relaxed geometry (GGA+U).

Summary:
As for the excess energy over the best structure of this formula in the dataset: 28 meV per atom. The value obtained for the total moment is 12.000 μB per formula unit.

```
Mn2CrO4
1.0
5.292 -0.083 -2.948
-1.731 5.001 -2.948
-0.013 -0.017 6.022
Mn Cr O
4 2 8
Direct
0.125 0.375 0.750
0.999 0.001 0.000
0.251 0.749 0.500
0.625 0.875 0.250
0.625 0.375 0.750
0.625 0.375 0.250
0.398 0.158 0.782
0.389 0.608 0.772
0.392 0.611 0.228
0.408 0.148 0.282
0.861 0.142 0.728
0.852 0.592 0.718
0.842 0.602 0.218
0.858 0.139 0.272
```


Let's list energy of formation from the pure elements in order: -2.234; -2.840; -2.834; -2.827; -1.867; -1.735; -1.704; -0.951; -2.535; -2.179; -2.308; -2.348; -2.161 eV/atom.